Computed, not measured: a relaxed PrGaPt crystal at the r2SCAN level of DFT.

```
data_PrGaPt
_chemical_formula_sum 'Pr4 Ga4 Pt4'
_space_group_name_H-M_alt 'P 1'
_space_group_IT_number 1
_cell_length_a 4.5195
_cell_length_b 7.2519
_cell_length_c 7.7142
_cell_angle_alpha 90.00
_cell_angle_beta 90.00
_cell_angle_gamma 90.00
loop_
_space_group_symop_operation_xyz
'x,y,z'
loop_
_atom_site_label
_atom_site_type_symbol
_atom_site_fract_x
_atom_site_fract_y
_atom_site_fract_z
Pr1 Pr 0.2500 0.5192 0.1979
Pr2 Pr 0.7500 0.9808 0.6979
Pr3 Pr 0.7500 0.4808 0.8021
Pr4 Pr 0.2500 0.0192 0.3021
Pt1 Pt 0.2500 0.2890 0.5949
Pt2 Pt 0.7500 0.2110 0.0949
Pt3 Pt 0.2500 0.7890 0.9051
Pt4 Pt 0.7500 0.7110 0.4051
Ga1 Ga 0.2500 0.1708 0.9218
Ga2 Ga 0.2500 0.6708 0.5782
Ga3 Ga 0.7500 0.8292 0.0782
Ga4 Ga 0.7500 0.3292 0.4218
```



Computed, not measured: a relaxed Rb2In2Sb3 crystal at the r2SCAN level of DFT.

```
data_Rb2In2Sb3
_chemical_formula_sum 'Rb16 In16 Sb24'
_space_group_name_H-M_alt 'P 1'
_space_group_IT_number 1
_cell_length_a 7.6736
_cell_length_b 15.7269
_cell_length_c 17.5224
_cell_angle_alpha 89.45
_cell_angle_beta 90.00
_cell_angle_gamma 90.00
loop_
_space_group_symop_operation_xyz
'x,y,z'
loop_
_atom_site_label
_atom_site_type_symbol
_atom_site_fract_x
_atom_site_fract_y
_atom_site_fract_z
Rb1 Rb 0.9678 0.0770 0.6111
Rb2 Rb 0.9707 0.8575 0.9929
Rb3 Rb 0.9452 0.5567 0.8975
Rb4 Rb 0.0322 0.9230 0.3889
Rb5 Rb 0.4452 0.4433 0.6025
Rb6 Rb 0.9534 0.3465 0.5210
Rb7 Rb 0.0548 0.4433 0.1025
Rb8 Rb 0.5466 0.3465 0.0210
Rb9 Rb 0.5322 0.0770 0.1111
Rb10 Rb 0.0293 0.1425 0.0071
Rb11 Rb 0.4707 0.1425 0.5071
Rb12 Rb 0.0466 0.6535 0.4790
Rb13 Rb 0.5548 0.5567 0.3975
Rb14 Rb 0.4678 0.9230 0.8889
Rb15 Rb 0.5293 0.8575 0.4929
Rb16 Rb 0.4534 0.6535 0.9790
Sb1 Sb 0.5544 0.8360 0.0955
Sb2 Sb 0.7092 0.7528 0.3206
Sb3 Sb 0.5373 0.0266 0.3275
Sb4 Sb 0.0400 0.4765 0.3370
Sb5 Sb 0.0647 0.6709 0.1108
Sb6 Sb 0.4627 0.9734 0.6725
Sb7 Sb 0.6651 0.2520 0.6753
Sb8 Sb 0.5400 0.5235 0.1630
Sb9 Sb 0.3349 0.7480 0.3247
Sb10 Sb 0.4600 0.4765 0.8370
Sb11 Sb 0.9456 0.8360 0.5955
Sb12 Sb 0.2092 0.2472 0.1794
Sb13 Sb 0.9600 0.5235 0.6630
Sb14 Sb 0.4456 0.1640 0.9045
Sb15 Sb 0.0373 0.9734 0.1725
Sb16 Sb 0.7908 0.7528 0.8206
Sb17 Sb 0.5647 0.3291 0.3892
Sb18 Sb 0.1651 0.7480 0.8247
Sb19 Sb 0.9627 0.0266 0.8275
Sb20 Sb 0.4353 0.6709 0.6108
Sb21 Sb 0.9353 0.3291 0.8892
Sb22 Sb 0.2908 0.2472 0.6794
Sb23 Sb 0.0544 0.1640 0.4045
Sb24 Sb 0.8349 0.2520 0.1753
In1 In 0.7367 0.1817 0.3229
In2 In 0.2118 0.0925 0.2704
In3 In 0.2394 0.5933 0.2405
In4 In 0.7216 0.6843 0.1694
In5 In 0.7882 0.9075 0.7296
In6 In 0.2882 0.0925 0.7704
In7 In 0.2784 0.3157 0.8306
In8 In 0.2606 0.5933 0.7405
In9 In 0.7784 0.6843 0.6694
In10 In 0.2633 0.8183 0.6771
In11 In 0.7394 0.4067 0.2595
In12 In 0.2216 0.3157 0.3306
In13 In 0.7633 0.1817 0.8229
In14 In 0.7606 0.4067 0.7595
In15 In 0.7118 0.9075 0.2296
In16 In 0.2367 0.8183 0.1771
```



Computed, not measured: a relaxed LiCuF4 crystal at the r2SCAN level of DFT.

```
data_LiCuF4
_chemical_formula_sum 'Li2 Cu2 F8'
_space_group_name_H-M_alt 'P 1'
_space_group_IT_number 1
_cell_length_a 5.4301
_cell_length_b 4.7778
_cell_length_c 5.6749
_cell_angle_alpha 90.00
_cell_angle_beta 118.45
_cell_angle_gamma 90.00
loop_
_space_group_symop_operation_xyz
'x,y,z'
loop_
_atom_site_label
_atom_site_type_symbol
_atom_site_fract_x
_atom_site_fract_y
_atom_site_fract_z
Cu1 Cu 0.0000 0.5000 0.5000
Cu2 Cu 0.0000 0.0000 0.0000
F1 F 0.3278 0.8214 0.1333
F2 F 0.8538 0.8045 0.6954
F3 F 0.3278 0.6786 0.6333
F4 F 0.8538 0.6955 0.1954
F5 F 0.6722 0.1786 0.8667
F6 F 0.6722 0.3214 0.3667
F7 F 0.1462 0.1955 0.3046
F8 F 0.1462 0.3045 0.8046
Li1 Li 0.5000 0.5000 0.0000
Li2 Li 0.5000 0.0000 0.5000
```



Computed, not measured: a relaxed Hg5Br2O4 crystal at the r2SCAN level of DFT.

```
data_Hg5Br2O4
_chemical_formula_sum 'Hg10 Br4 O8'
_space_group_name_H-M_alt 'P 1'
_space_group_IT_number 1
_cell_length_a 8.9766
_cell_length_b 8.9764
_cell_length_c 8.9764
_cell_angle_alpha 139.20
_cell_angle_beta 98.04
_cell_angle_gamma 95.92
loop_
_space_group_symop_operation_xyz
'x,y,z'
loop_
_atom_site_label
_atom_site_type_symbol
_atom_site_fract_x
_atom_site_fract_y
_atom_site_fract_z
O1 O 0.8230 0.9450 0.4780
O2 O 0.4670 0.9450 0.1220
O3 O 0.1770 0.0550 0.5220
O4 O 0.9670 0.3450 0.0220
O5 O 0.5330 0.0549 0.8780
O6 O 0.0329 0.6550 0.9780
O7 O 0.3230 0.3450 0.3780
O8 O 0.6770 0.6549 0.6220
Hg1 Hg 0.0891 0.3390 0.7500
Hg2 Hg 0.6419 0.9287 0.2868
Hg3 Hg 0.7500 0.0000 0.7500
Hg4 Hg 0.2500 0.0000 0.2500
Hg5 Hg 0.5891 0.3391 0.2500
Hg6 Hg 0.4109 0.6609 0.7500
Hg7 Hg 0.9109 0.6609 0.2500
Hg8 Hg 0.1419 0.3551 0.2132
Hg9 Hg 0.8581 0.6449 0.7868
Hg10 Hg 0.3581 0.0713 0.7132
Br1 Br 0.6076 0.3791 0.7716
Br2 Br 0.1076 0.8360 0.7285
Br3 Br 0.8924 0.1640 0.2715
Br4 Br 0.3924 0.6209 0.2284
```



Computed, not measured: a relaxed AlAsPt5 crystal at the r2SCAN level of DFT.

```
data_AlAsPt5
_chemical_formula_sum 'Al1 As1 Pt5'
_space_group_name_H-M_alt 'P 1'
_space_group_IT_number 1
_cell_length_a 3.9505
_cell_length_b 3.9505
_cell_length_c 7.0230
_cell_angle_alpha 90.00
_cell_angle_beta 90.00
_cell_angle_gamma 90.00
loop_
_space_group_symop_operation_xyz
'x,y,z'
loop_
_atom_site_label
_atom_site_type_symbol
_atom_site_fract_x
_atom_site_fract_y
_atom_site_fract_z
Pt1 Pt 0.5000 0.0000 0.7275
Pt2 Pt 0.0000 0.5000 0.2725
Pt3 Pt 0.5000 0.0000 0.2725
Pt4 Pt 0.0000 0.0000 0.0000
Pt5 Pt 0.0000 0.5000 0.7275
As1 As 0.0000 0.0000 0.5000
Al1 Al 0.5000 0.5000 0.0000
```



Computed, not measured: a relaxed Mn3Os crystal at the r2SCAN level of DFT.

```
data_Mn3Os
_chemical_formula_sum 'Mn6 Os2'
_space_group_name_H-M_alt 'P 1'
_space_group_IT_number 1
_cell_length_a 5.0977
_cell_length_b 5.0977
_cell_length_c 4.0542
_cell_angle_alpha 90.00
_cell_angle_beta 90.00
_cell_angle_gamma 120.00
loop_
_space_group_symop_operation_xyz
'x,y,z'
loop_
_atom_site_label
_atom_site_type_symbol
_atom_site_fract_x
_atom_site_fract_y
_atom_site_fract_z
Mn1 Mn 0.8377 0.6754 0.7500
Mn2 Mn 0.6754 0.8377 0.2500
Mn3 Mn 0.3246 0.1623 0.7500
Mn4 Mn 0.1623 0.8377 0.2500
Mn5 Mn 0.1623 0.3246 0.2500
Mn6 Mn 0.8377 0.1623 0.7500
Os1 Os 0.6667 0.3333 0.2500
Os2 Os 0.3333 0.6667 0.7500
```



Number 1: E_form -1.1095 eV/atom. Number 2: E_form -0.5005 eV/atom. Number 3: E_form -2.1232 eV/atom. Number 4: E_form -0.4214 eV/atom. Number 5: E_form -0.5684 eV/atom. Number 6: E_form 0.2573 eV/atom.